Record 1
The following is a PBE-GGA calculation of an optimized crystal structure of K2Ni3S4, from the Materials Project database.

Lattice parameters (Å, degrees): 14.0731 13.4470 5.8141 83.91 71.83 24.26
Last column: nearest neighbours and their distance in Å.
Element x y z (fractional)
K: 0.0782 0.0782 0.9218  8 S 3.37-3.48, 6 Ni 3.54-3.57
K: 0.9218 0.9218 0.0782  8 S 3.37-3.48, 6 Ni 3.54-3.57
K: 0.1718 0.1718 0.3282  8 S 3.37-3.48, 6 Ni 3.54-3.57
K: 0.3282 0.3282 0.1718  8 S 3.37-3.48, 6 Ni 3.54-3.57
Ni: 0.9993 0.9993 0.5007  4 S 2.20-2.21
Ni: 0.5007 0.5007 0.9993  4 S 2.20-2.21
Ni: 0.2507 0.2507 0.7493  4 S 2.20-2.21
Ni: 0.7493 0.7493 0.2507  4 S 2.20-2.21
Ni: 0.5000 0.5000 0.5000  4 S 2.21
Ni: 0.7500 0.7500 0.7500  4 S 2.21
S: 0.3845 0.7255 0.2833  3 Ni 2.20-2.21
S: 0.6067 0.2833 0.7255  3 Ni 2.20-2.21
S: 0.2833 0.6067 0.3845  3 Ni 2.20-2.21
S: 0.7255 0.3845 0.6067  3 Ni 2.20-2.21
S: 0.8655 0.5245 0.9667  3 Ni 2.20-2.21
S: 0.6433 0.9667 0.5245  3 Ni 2.20-2.21
S: 0.5245 0.8655 0.6433  3 Ni 2.20-2.21
S: 0.9667 0.6433 0.8655  3 Ni 2.20-2.21

Density, g/cm3: 3.33
E (MP2020), eV per formula unit: -44.7
Symmetry: Fddd
Formation energy from the elements, eV per atom: -0.950
Raw total energy, eV/atom: -4.738

Record 2
The following is a PBE-GGA calculation of an optimized crystal structure of NaAuCl4, from the Materials Project database.

Lattice parameters (Å, degrees): 11.5849 11.6081 21.1598 75.34 90.00 90.00
Last column: nearest neighbours and their distance in Å.
Element x y z (fractional)
Na: 0.8819 0.4194 0.1949  7 Cl 2.95-3.09
Na: 0.8848 0.7443 0.5557  7 Cl 2.89-3.15
Na: 0.6152 0.2443 0.0557  7 Cl 2.89-3.15
Na: 0.3714 0.7082 0.5541  7 Cl 2.94-3.10
Na: 0.6181 0.9194 0.6949  7 Cl 2.95-3.09
Na: 0.3819 0.0806 0.3051  7 Cl 2.95-3.09
Na: 0.8714 0.7918 0.9459  7 Cl 2.94-3.10
Na: 0.3848 0.7557 0.9443  7 Cl 2.89-3.15
Na: 0.6286 0.2918 0.4459  7 Cl 2.94-3.10
Na: 0.1181 0.5806 0.8051  7 Cl 2.95-3.09
Na: 0.6689 0.4042 0.6964  6 Cl 2.86-3.00
Na: 0.8311 0.9042 0.1964  6 Cl 2.86-3.00
Na: 0.1152 0.2557 0.4443  7 Cl 2.89-3.15
Na: 0.1689 0.0958 0.8036  6 Cl 2.86-3.00
Na: 0.1286 0.2082 0.0541  7 Cl 2.94-3.10
Na: 0.3311 0.5958 0.3036  6 Cl 2.86-3.00
Au: 0.2107 0.9031 0.1885  4 Cl 2.32-2.33
Au: 0.8737 0.4274 0.9472  4 Cl 2.31-2.33
Au: 0.1109 0.6282 0.4424  4 Cl 2.32-2.33
Au: 0.4862 0.5942 0.7984  4 Cl 2.32-2.33
Au: 0.6263 0.9274 0.4472  4 Cl 2.31-2.33
Au: 0.0138 0.0942 0.2984  4 Cl 2.32-2.33
Au: 0.5138 0.4058 0.2016  4 Cl 2.32-2.33
Au: 0.2893 0.4031 0.6885  4 Cl 2.32-2.33
Au: 0.7893 0.0969 0.8115  4 Cl 2.32-2.33
Au: 0.8891 0.3718 0.5576  4 Cl 2.32-2.33
Au: 0.9862 0.9058 0.7016  4 Cl 2.32-2.33
Au: 0.6109 0.8718 0.0576  4 Cl 2.32-2.33
Au: 0.1263 0.5726 0.0528  4 Cl 2.31-2.33
Au: 0.3737 0.0726 0.5528  4 Cl 2.31-2.33
Au: 0.3891 0.1282 0.9424  4 Cl 2.32-2.33
Au: 0.7107 0.5969 0.3115  4 Cl 2.32-2.33
Cl: 0.9275 0.5947 0.0621  1 Au 2.33
Cl: 0.0029 0.1041 0.7027  1 Au 2.32
Cl: 0.3764 0.2459 0.0163  1 Au 2.33
Cl: 0.1040 0.5122 0.3673  1 Au 2.33
Cl: 0.1236 0.7459 0.5163  1 Au 2.33
Cl: 0.6589 0.4528 0.1236  1 Au 2.32
Cl: 0.3238 0.5484 0.0464  1 Au 2.31
Cl: 0.1298 0.8541 0.7811  1 Au 2.33
Cl: 0.2618 0.6040 0.6835  1 Au 2.33
Cl: 0.0891 0.3613 0.5552  1 Au 2.32
Cl: 0.9710 0.7089 0.6962  1 Au 2.32
Cl: 0.3850 0.8946 0.6331  1 Au 2.32
Cl: 0.5676 0.5431 0.3907  1 Au 2.33
Cl: 0.8850 0.6054 0.8669  1 Au 2.32
Cl: 0.9109 0.6387 0.4448  1 Au 2.32
Cl: 0.0676 0.9569 0.1093  1 Au 2.33
Cl: 0.8238 0.9516 0.4536  1 Au 2.31
Cl: 0.0725 0.4053 0.9379  1 Au 2.33
Cl: 0.0290 0.2911 0.3038  1 Au 2.32
Cl: 0.9324 0.0431 0.8907  1 Au 2.33
Cl: 0.8960 0.4878 0.6327  1 Au 2.33
Cl: 0.8189 0.2967 0.8061  1 Au 2.32
Cl: 0.5891 0.1387 0.9448  1 Au 2.32
Cl: 0.3189 0.2033 0.6939  1 Au 2.32
Cl: 0.1150 0.3946 0.1331  1 Au 2.32
Cl: 0.1762 0.0484 0.5464  1 Au 2.31
Cl: 0.6150 0.1054 0.3669  1 Au 2.32
Cl: 0.7382 0.3960 0.3165  1 Au 2.33
Cl: 0.8764 0.2541 0.4837  1 Au 2.33
Cl: 0.1335 0.7486 0.9700  1 Au 2.33
Cl: 0.3110 0.6168 0.4393  1 Au 2.32
Cl: 0.6463 0.1466 0.7318  1 Au 2.33
Cl: 0.4275 0.9053 0.4379  1 Au 2.33
Cl: 0.6236 0.7541 0.9837  1 Au 2.33
Cl: 0.6891 0.3832 0.5607  1 Au 2.32
Cl: 0.3665 0.2486 0.4700  1 Au 2.33
Cl: 0.3702 0.3541 0.2811  1 Au 2.33
Cl: 0.6298 0.6459 0.7189  1 Au 2.33
Cl: 0.3537 0.8534 0.2682  1 Au 2.33
Cl: 0.9971 0.8959 0.2973  1 Au 2.32
Cl: 0.4710 0.7911 0.8038  1 Au 2.32
Cl: 0.8702 0.1459 0.2189  1 Au 2.33
Cl: 0.6811 0.7967 0.3061  1 Au 2.32
Cl: 0.3960 0.0122 0.8673  1 Au 2.33
Cl: 0.1589 0.0472 0.3764  1 Au 2.32
Cl: 0.1463 0.3534 0.7682  1 Au 2.33
Cl: 0.7618 0.8960 0.8165  1 Au 2.33
Cl: 0.5290 0.2089 0.1962  1 Au 2.32
Cl: 0.4324 0.4569 0.6093  1 Au 2.33
Cl: 0.8109 0.8832 0.0607  1 Au 2.32
Cl: 0.2382 0.1040 0.1835  1 Au 2.33
Cl: 0.6762 0.4516 0.9536  1 Au 2.31
Cl: 0.4109 0.8613 0.0552  1 Au 2.32
Cl: 0.8537 0.6466 0.2318  1 Au 2.33
Cl: 0.8665 0.2514 0.0300  1 Au 2.33
Cl: 0.5725 0.0947 0.5621  1 Au 2.33
Cl: 0.8411 0.9528 0.6236  1 Au 2.32
Cl: 0.3411 0.5472 0.8764  1 Au 2.32
Cl: 0.1890 0.1168 0.9393  1 Au 2.32
Cl: 0.6040 0.9878 0.1327  1 Au 2.33
Cl: 0.4971 0.6041 0.2027  1 Au 2.32
Cl: 0.6335 0.7514 0.5300  1 Au 2.33
Cl: 0.5029 0.3959 0.7973  1 Au 2.32
Cl: 0.1811 0.7033 0.1939  1 Au 2.32

Density, g/cm3: 3.49
E (MP2020), eV per formula unit: -19.4
Symmetry: P2_1/c
Formation energy from the elements, eV per atom: -1.228
Raw total energy, eV/atom: -2.817

Record 3
The following is a PBE-GGA calculation of an optimized crystal structure of CoSiW, from the Materials Project database.

Lattice parameters (Å, degrees): 4.7191 4.7191 7.5779 90.00 90.00 118.15
Last column: nearest neighbours and their distance in Å.
Element x y z (fractional)
Co: 0.8321 0.1679 0.0000  2 Si 2.27, 4 Co 2.28-2.44
Co: 0.8291 0.6490 0.0000  2 Si 2.26, 3 Co 2.28-2.44
Co: 0.3510 0.1709 0.0000  2 Si 2.26, 3 Co 2.28-2.44
Co: 0.1464 0.8536 0.5000  6 Si 2.32-2.38
Si: 0.1615 0.3562 0.5000  2 Co 2.34-2.38, 4 Si 2.34-2.54
Si: 0.6438 0.8385 0.5000  2 Co 2.34-2.38, 4 Si 2.34-2.54
Si: 0.0101 0.9899 0.2314  4 Co 2.26-2.32
Si: 0.0101 0.9899 0.7686  4 Co 2.26-2.32
W: 0.6679 0.3321 0.6893  7 Si 2.69-2.84, 5 Co 2.70-2.82, 4 W 2.83-2.96
W: 0.3400 0.6600 0.8187  5 Si 2.70-2.81, 7 Co 2.71-2.88, 4 W 2.75-2.96
W: 0.3400 0.6600 0.1813  5 Si 2.70-2.81, 7 Co 2.71-2.88, 4 W 2.75-2.96
W: 0.6679 0.3321 0.3107  7 Si 2.69-2.84, 5 Co 2.70-2.82, 4 W 2.83-2.96

Density, g/cm3: 12.09
Symmetry: Amm2
Formation energy from the elements, eV per atom: -0.308
Raw total energy, eV/atom: -8.805

Record 4
The following is a PBE-GGA calculation of an optimized crystal structure of Hf2Fe3Si, from the Materials Project database.

Lattice parameters (Å, degrees): 4.9497 4.9497 7.9761 90.00 90.00 120.01
Last column: nearest neighbours and their distance in Å.
Element x y z (fractional)
Hf: 0.6667 0.3333 0.5637  9 Fe 2.87-2.89, 3 Si 2.90, 4 Hf 2.97-3.03
Hf: 0.3333 0.6667 0.4363  9 Fe 2.87-2.89, 3 Si 2.90, 4 Hf 2.97-3.03
Hf: 0.3333 0.6667 0.0637  9 Fe 2.87-2.89, 3 Si 2.90, 4 Hf 2.97-3.03
Hf: 0.6667 0.3333 0.9363  9 Fe 2.87-2.89, 3 Si 2.90, 4 Hf 2.97-3.03
Fe: 0.1700 0.3399 0.7500  4 Fe 2.43-2.52, 2 Si 2.47
Fe: 0.1700 0.8300 0.7500  4 Fe 2.43-2.52, 2 Si 2.47
Fe: 0.6601 0.8300 0.7500  4 Fe 2.43-2.52, 2 Si 2.47
Fe: 0.8300 0.6601 0.2500  4 Fe 2.43-2.52, 2 Si 2.47
Fe: 0.8300 0.1700 0.2500  4 Fe 2.43-2.52, 2 Si 2.47
Fe: 0.3399 0.1700 0.2500  4 Fe 2.43-2.52, 2 Si 2.47
Si: 0.0000 0.0000 0.5000  6 Fe 2.47
Si: 0.0000 0.0000 0.0000  6 Fe 2.47

Density, g/cm3: 10.85
E (MP2020), eV per formula unit: -54.1
Symmetry: P6_3/mmc
Formation energy from the elements, eV per atom: -0.565
Raw total energy, eV/atom: -9.035

Record 5
The following is a PBE-GGA calculation of an optimized crystal structure of NaIO2, from the Materials Project database.

Lattice parameters (Å, degrees): 4.2686 4.2686 3.6143 90.00 90.00 90.00
Last column: nearest neighbours and their distance in Å.
Element x y z (fractional)
Na: 0.5000 0.5000 0.5000  8 O 2.80
I: 0.0000 0.0000 0.0000  4 O 2.13
O: 0.0000 0.5000 0.0000  2 I 2.13
O: 0.5000 0.0000 0.0000  2 I 2.13

Density, g/cm3: 4.59
E (MP2020), eV per formula unit: -16.7
Symmetry: P4/mmm
Formation energy from the elements, eV per atom: -0.985
Raw total energy, eV/atom: -3.827

Record 6
The following is a PBE-GGA calculation of an optimized crystal structure of NaNb2SiSn2P5O24, from the Materials Project database.

Lattice parameters (Å, degrees): 8.7955 8.7925 22.7788 90.06 89.91 119.95
Last column: nearest neighbours and their distance in Å.
Element x y z (fractional)
Na: 0.0000 0.9986 0.9976  6 O 2.46-2.60
Na: 0.6674 0.3342 0.8308  6 O 2.53-2.70
Na: 0.6676 0.3346 0.3370  6 O 2.50-2.70
Nb: 0.9986 0.0037 0.3572  6 O 1.92-2.05
Nb: 0.0008 0.9994 0.6423  6 O 1.95-2.04
Nb: 0.6686 0.3332 0.1915  6 O 1.91-2.07
Nb: 0.6643 0.3336 0.9758  6 O 1.94-2.04
Nb: 0.3363 0.6715 0.0241  6 O 1.92-2.04
Nb: 0.3384 0.6701 0.8079  6 O 1.94-2.08
Si: 0.0062 0.2892 0.2492  4 O 1.59-1.68
Si: 0.6203 0.6718 0.9160  4 O 1.61-1.65
Si: 0.3295 0.9500 0.9163  4 O 1.61-1.65
Sn: 0.9999 0.9993 0.8550  6 O 2.02-2.10
Sn: 0.0017 0.0007 0.1467  6 O 1.96-2.11
Sn: 0.6659 0.3336 0.6847  6 O 2.02-2.08
Sn: 0.6679 0.3337 0.4816  6 O 2.04-2.08
Sn: 0.3315 0.6657 0.5202  6 O 2.03-2.05
Sn: 0.3323 0.6656 0.3122  6 O 1.96-2.06
P: 0.2847 0.9977 0.2502  4 O 1.51-1.58
P: 0.7135 0.7159 0.2504  4 O 1.51-1.58
P: 0.2884 0.2839 0.7501  4 O 1.54-1.55
P: 0.9945 0.7092 0.7500  4 O 1.54-1.55
P: 0.7172 0.0065 0.7500  4 O 1.53-1.56
P: 0.9572 0.3365 0.5833  4 O 1.52-1.57
P: 0.3804 0.0426 0.5831  4 O 1.52-1.57
P: 0.6623 0.6204 0.5831  4 O 1.52-1.57
P: 0.9503 0.6207 0.0836  4 O 1.54-1.55
P: 0.6716 0.0495 0.0833  4 O 1.54-1.55
P: 0.3770 0.3278 0.0833  4 O 1.54-1.56
P: 0.0520 0.3846 0.9166  4 O 1.53-1.56
P: 0.6177 0.9558 0.4166  4 O 1.53-1.57
P: 0.3394 0.3809 0.4168  4 O 1.53-1.57
P: 0.0425 0.6632 0.4168  4 O 1.53-1.55
O: 0.1979 0.0310 0.3039  1 P 1.54
O: 0.8345 0.7980 0.3042  1 P 1.55
O: 0.9678 0.1603 0.3064  1 Si 1.65
O: 0.2122 0.1721 0.8057  1 P 1.54
O: 0.9578 0.7859 0.8054  1 P 1.54
O: 0.8279 0.0416 0.8057  1 P 1.53
O: 0.8065 0.9813 0.6956  1 P 1.54
O: 0.1748 0.1930 0.6956  1 P 1.54
O: 0.0203 0.8240 0.6954  1 P 1.54
O: 0.7900 0.8190 0.1934  1 P 1.53
O: 0.0351 0.2086 0.1897  1 Si 1.61
O: 0.1773 0.9616 0.1936  1 P 1.54
O: 0.8782 0.3721 0.6383  1 P 1.54
O: 0.4937 0.1212 0.6383  1 P 1.54
O: 0.6267 0.5064 0.6382  1 P 1.54
O: 0.8604 0.5091 0.1391  1 P 1.55
O: 0.6477 0.1381 0.1387  1 P 1.55
O: 0.4888 0.3527 0.1383  1 P 1.54
O: 0.4716 0.3065 0.0284  1 P 1.56
O: 0.8356 0.5313 0.0291  1 P 1.55
O: 0.6955 0.1641 0.0290  1 P 1.54
O: 0.4534 0.1612 0.5289  1 P 1.54
O: 0.7087 0.5477 0.5289  1 P 1.54
O: 0.8391 0.2906 0.5289  1 P 1.54
O: 0.5215 0.6890 0.9746  1 Si 1.64
O: 0.1611 0.4702 0.9723  1 P 1.54
O: 0.3051 0.8314 0.9749  1 Si 1.64
O: 0.5416 0.8452 0.4720  1 P 1.53
O: 0.3016 0.4543 0.4724  1 P 1.53
O: 0.1525 0.6991 0.4726  1 P 1.53
O: 0.1229 0.6273 0.3625  1 P 1.53
O: 0.5049 0.8778 0.3616  1 P 1.53
O: 0.3765 0.4967 0.3624  1 P 1.53
O: 0.1321 0.4951 0.8607  1 P 1.54
O: 0.3583 0.8578 0.8581  1 Si 1.64
O: 0.4982 0.6353 0.8576  1 Si 1.64
O: 0.0238 0.8277 0.4060  1 P 1.55
O: 0.8010 0.9709 0.4073  1 P 1.57
O: 0.1739 0.1963 0.4066  1 P 1.57
O: 0.0309 0.2011 0.9117  1 P 1.53
O: 0.1630 0.9789 0.9129  1 Si 1.61
O: 0.8096 0.8467 0.9128  1 Si 1.61
O: 0.9750 0.1703 0.5949  1 P 1.57
O: 0.1965 0.0254 0.5946  1 P 1.57
O: 0.8289 0.8039 0.5949  1 P 1.57
O: 0.9701 0.8048 0.0879  1 P 1.54
O: 0.8328 0.0253 0.0865  1 P 1.54
O: 0.1959 0.1593 0.0852  1 P 1.54
O: 0.6889 0.1656 0.7436  1 P 1.55
O: 0.4755 0.3107 0.7437  1 P 1.55
O: 0.8331 0.5230 0.7435  1 P 1.55
O: 0.6938 0.5284 0.2430  1 P 1.58
O: 0.8228 0.3021 0.2424  1 Si 1.68
O: 0.4672 0.1712 0.2424  1 P 1.58
O: 0.6401 0.4961 0.9247  1 Si 1.65
O: 0.8679 0.3675 0.9249  1 P 1.56
O: 0.5113 0.1405 0.9249  1 Si 1.65
O: 0.6451 0.1436 0.4222  1 P 1.55
O: 0.5005 0.3548 0.4225  1 P 1.55
O: 0.8558 0.5003 0.4224  1 P 1.55
O: 0.3586 0.4914 0.0744  1 P 1.54
O: 0.1299 0.6330 0.0758  1 P 1.54
O: 0.5025 0.8684 0.0763  1 P 1.55
O: 0.3544 0.8593 0.5751  1 P 1.52
O: 0.5051 0.6465 0.5748  1 P 1.52
O: 0.1403 0.4941 0.5752  1 P 1.52
O: 0.3192 0.8475 0.2599  1 P 1.51
O: 0.5338 0.6950 0.2598  1 P 1.51
O: 0.1669 0.4820 0.2590  1 Si 1.59
O: 0.2991 0.4643 0.7571  1 P 1.55
O: 0.1612 0.6938 0.7575  1 P 1.55
O: 0.5351 0.8366 0.7567  1 P 1.56

Density, g/cm3: 3.31
E (MP2020), eV per formula unit: -276.5
Symmetry: P1
Formation energy from the elements, eV per atom: -2.735
Raw total energy, eV/atom: -7.430

Record 7
The following is a PBE-GGA calculation of an optimized crystal structure of PrAg2, from the Materials Project database.

Lattice parameters (Å, degrees): 6.0027 6.0027 6.0027 132.40 104.67 94.16
Last column: nearest neighbours and their distance in Å.
Element x y z (fractional)
Pr: 0.2108 0.4608 0.7500  12 Ag 3.25-3.41
Pr: 0.7892 0.5392 0.2500  12 Ag 3.25-3.41
Ag: 0.3806 0.8350 0.5456  4 Ag 2.78-3.00
Ag: 0.6194 0.1650 0.4544  4 Ag 2.78-3.00
Ag: 0.2106 0.1650 0.0456  4 Ag 2.78-3.00
Ag: 0.7894 0.8350 0.9544  4 Ag 2.78-3.00

Density, g/cm3: 8.15
Symmetry: Imma
Formation energy from the elements, eV per atom: -0.277
Raw total energy, eV/atom: -3.760

Record 8
The following is a PBE-GGA calculation of an optimized crystal structure of ZrInAu2, from the Materials Project database.

Lattice parameters (Å, degrees): 3.4140 3.4140 7.2276 90.00 90.00 90.00
Last column: nearest neighbours and their distance in Å.
Element x y z (fractional)
Zr: 0.5000 0.5000 0.5000  8 Au 2.96
In: 0.5000 0.5000 0.0000  8 Au 3.07, 4 In 3.41
Au: 0.0000 0.0000 0.7370  4 Zr 2.96, 4 In 3.07
Au: 0.0000 0.0000 0.2630  4 Zr 2.96, 4 In 3.07

Density, g/cm3: 11.83
Symmetry: P4/mmm
Formation energy from the elements, eV per atom: -0.373
Raw total energy, eV/atom: -4.835